Entry from Materials Project: Y3MnAlS7 after structural relaxation (PBE).

a = 9.7054 Å, b = 9.7054 Å, c = 6.1300 Å
α = 90.00°, β = 90.00°, γ = 120.00°
Closest atoms and distances in Å follow each position.
Element x y z (fractional)
S (0.5779, 0.4835, 0.0027)  1 Al 2.25
S (0.4221, 0.5165, 0.5027)  1 Al 2.25
S (0.3333, 0.6667, 0.0273)  1 Al 2.25
S (0.6667, 0.3333, 0.5273)  1 Al 2.25
S (0.0996, 0.2440, 0.8114)  2 Mn 2.45-2.69
S (0.0944, 0.5779, 0.5027)  1 Al 2.25
S (0.7560, 0.8556, 0.8114)  2 Mn 2.45-2.69
S (0.2440, 0.1444, 0.3114)  2 Mn 2.45-2.69
S (0.5165, 0.0944, 0.0027)  1 Al 2.25
S (0.4835, 0.9056, 0.5027)  1 Al 2.25
S (0.8556, 0.0996, 0.3114)  2 Mn 2.45-2.69
S (0.9056, 0.4221, 0.0027)  1 Al 2.25
S (0.1444, 0.9004, 0.8114)  2 Mn 2.45-2.69
S (0.9004, 0.7560, 0.3114)  2 Mn 2.45-2.69
Y (0.2332, 0.8555, 0.2351)  7 S 2.77-2.93
Y (0.6223, 0.7668, 0.2351)  7 S 2.77-2.93
Y (0.1445, 0.3777, 0.2351)  7 S 2.77-2.93
Y (0.7668, 0.1445, 0.7351)  7 S 2.77-2.93
Y (0.8555, 0.6223, 0.7351)  7 S 2.77-2.93
Y (0.3777, 0.2332, 0.7351)  7 S 2.77-2.93
Mn (0.0000, 0.0000, 0.0285)  6 S 2.45-2.69
Mn (0.0000, 0.0000, 0.5285)  6 S 2.45-2.69
Al (0.3333, 0.6667, 0.6606)  4 S 2.25
Al (0.6667, 0.3333, 0.1606)  4 S 2.25

For the calculated total energy, the calculation gives -6.71 eV per atom. Its space group is P6_3.


Entry from Materials Project: Sc3Mn3Al7Si5 after structural relaxation (PBE).

a = 8.2950 Å, b = 8.2950 Å, c = 8.9718 Å
α = 90.00°, β = 90.00°, γ = 120.00°
Closest atoms and distances in Å follow each position.
Element x y z (fractional)
Si (0.3333, 0.6667, 0.4601)  3 Mn 2.42, 3 Al 2.66, 3 Sc 2.68
Si (0.6667, 0.3333, 0.5399)  3 Mn 2.42, 3 Al 2.66, 3 Sc 2.68
Si (0.1197, 0.5598, 0.7500)  2 Mn 2.40, 4 Al 2.63, 2 Si 2.66
Si (0.5598, 0.1197, 0.2500)  2 Mn 2.40, 4 Al 2.63, 2 Si 2.66
Si (0.4402, 0.5598, 0.7500)  2 Mn 2.40, 4 Al 2.63, 2 Si 2.66
Si (0.3333, 0.6667, 0.0399)  3 Mn 2.42, 3 Al 2.66, 3 Sc 2.68
Si (0.8803, 0.4402, 0.2500)  2 Mn 2.40, 4 Al 2.63, 2 Si 2.66
Si (0.6667, 0.3333, 0.9601)  3 Mn 2.42, 3 Al 2.66, 3 Sc 2.68
Si (0.4402, 0.8803, 0.7500)  2 Mn 2.40, 4 Al 2.63, 2 Si 2.66
Si (0.5598, 0.4402, 0.2500)  2 Mn 2.40, 4 Al 2.63, 2 Si 2.66
Al (0.0000, 0.0000, 0.7500)  6 Al 2.80, 3 Sc 2.88
Al (0.1636, 0.3272, 0.5795)  2 Mn 2.52, 3 Si 2.63-2.66, 3 Al 2.75-2.80
Al (0.6728, 0.8364, 0.5795)  2 Mn 2.52, 3 Si 2.63-2.66, 3 Al 2.75-2.80
Al (0.0000, 0.0000, 0.2500)  6 Al 2.80, 3 Sc 2.88
Al (0.8364, 0.1636, 0.0795)  2 Mn 2.52, 3 Si 2.63-2.66, 3 Al 2.75-2.80
Al (0.8364, 0.6728, 0.0795)  2 Mn 2.52, 3 Si 2.63-2.66, 3 Al 2.75-2.80
Al (0.3272, 0.1636, 0.4205)  2 Mn 2.52, 3 Si 2.63-2.66, 3 Al 2.75-2.80
Al (0.6728, 0.8364, 0.9205)  2 Mn 2.52, 3 Si 2.63-2.66, 3 Al 2.75-2.80
Al (0.1636, 0.8364, 0.5795)  2 Mn 2.52, 3 Si 2.63-2.66, 3 Al 2.75-2.80
Al (0.8364, 0.1636, 0.4205)  2 Mn 2.52, 3 Si 2.63-2.66, 3 Al 2.75-2.80
Al (0.3272, 0.1636, 0.0795)  2 Mn 2.52, 3 Si 2.63-2.66, 3 Al 2.75-2.80
Al (0.8364, 0.6728, 0.4205)  2 Mn 2.52, 3 Si 2.63-2.66, 3 Al 2.75-2.80
Al (0.1636, 0.8364, 0.9205)  2 Mn 2.52, 3 Si 2.63-2.66, 3 Al 2.75-2.80
Al (0.1636, 0.3272, 0.9205)  2 Mn 2.52, 3 Si 2.63-2.66, 3 Al 2.75-2.80
Mn (0.5000, 0.0000, 0.5000)  4 Si 2.40-2.42, 4 Al 2.52
Mn (0.5000, 0.5000, 0.5000)  4 Si 2.40-2.42, 4 Al 2.52
Mn (0.5000, 0.0000, 0.0000)  4 Si 2.40-2.42, 4 Al 2.52
Mn (0.0000, 0.5000, 0.5000)  4 Si 2.40-2.42, 4 Al 2.52
Mn (0.0000, 0.5000, 0.0000)  4 Si 2.40-2.42, 4 Al 2.52
Mn (0.5000, 0.5000, 0.0000)  4 Si 2.40-2.42, 4 Al 2.52
Sc (0.4007, 0.2004, 0.7500)  4 Si 2.68-2.83, 3 Al 2.88-3.00
Sc (0.5993, 0.7996, 0.2500)  4 Si 2.68-2.83, 3 Al 2.88-3.00
Sc (0.7996, 0.5993, 0.7500)  4 Si 2.68-2.83, 3 Al 2.88-3.00
Sc (0.2004, 0.7996, 0.2500)  4 Si 2.68-2.83, 3 Al 2.88-3.00
Sc (0.2004, 0.4007, 0.2500)  4 Si 2.68-2.83, 3 Al 2.88-3.00
Sc (0.7996, 0.2004, 0.7500)  4 Si 2.68-2.83, 3 Al 2.88-3.00

For the calculated total energy, the calculation gives -6.06 eV per atom. Its space group is P6_3/mmc.


Entry from Materials Project: Mn3Al4Si2 after structural relaxation (PBE).

a = 4.5394 Å, b = 4.5394 Å, c = 12.9620 Å
α = 85.06°, β = 85.06°, γ = 119.65°
Closest atoms and distances in Å follow each position.
Element x y z (fractional)
Al (0.8708, 0.9626, 0.4142)  5 Mn 2.47-2.67, 1 Si 2.49, 4 Al 2.53-2.67
Al (0.2103, 0.6215, 0.4175)  5 Mn 2.49-2.66, 2 Si 2.51-2.53, 3 Al 2.60-2.67
Al (0.2051, 0.2949, 0.7500)  5 Mn 2.50-2.65, 5 Al 2.53-2.66
Al (0.8785, 0.2897, 0.0825)  5 Mn 2.49-2.66, 2 Si 2.51-2.53, 3 Al 2.60-2.67
Al (0.1308, 0.0395, 0.5816)  5 Mn 2.52-2.65, 2 Al 2.53, 3 Si 2.59-2.69
Al (0.5440, 0.9560, 0.7500)  5 Mn 2.49-2.63, 2 Si 2.53, 3 Al 2.61-2.66
Al (0.4605, 0.3692, 0.9184)  5 Mn 2.52-2.65, 2 Al 2.53, 3 Si 2.59-2.69
Al (0.5374, 0.6292, 0.0858)  5 Mn 2.47-2.67, 1 Si 2.49, 4 Al 2.53-2.67
Si (0.7861, 0.3792, 0.5826)  5 Mn 2.49-2.66, 5 Al 2.51-2.69
Si (0.4552, 0.0448, 0.2500)  5 Mn 2.44-2.64, 2 Al 2.53, 3 Si 2.60-2.68
Si (0.1208, 0.7139, 0.9174)  5 Mn 2.49-2.66, 5 Al 2.51-2.69
Si (0.7971, 0.7029, 0.2500)  5 Mn 2.43-2.65, 2 Al 2.49, 3 Si 2.60-2.68
Mn (0.5497, 0.2980, 0.4116)  3 Si 2.43-2.52, 7 Al 2.54-2.67
Mn (0.4592, 0.7094, 0.5833)  7 Al 2.49-2.65, 3 Si 2.58-2.66
Mn (0.1245, 0.3755, 0.2500)  4 Al 2.47-2.50, 6 Si 2.57-2.65
Mn (0.2020, 0.9503, 0.0884)  3 Si 2.43-2.52, 7 Al 2.54-2.67
Mn (0.7906, 0.0408, 0.9167)  7 Al 2.49-2.65, 3 Si 2.58-2.66
Mn (0.8775, 0.6225, 0.7500)  2 Si 2.49, 8 Al 2.52-2.65

For the calculated total energy, the calculation gives -6.23 eV per atom. Its space group is C2.


Entry from Materials Project: Mn3Al9Si after structural relaxation (PBE).

a = 7.4837 Å, b = 7.4837 Å, c = 7.6403 Å
α = 90.00°, β = 90.00°, γ = 120.00°
Closest atoms and distances in Å follow each position.
Element x y z (fractional)
Si (0.0000, 0.0000, 0.0000)  6 Mn 2.46, 6 Al 2.64
Si (0.0000, 0.0000, 0.5000)  6 Mn 2.46, 6 Al 2.64
Al (0.0853, 0.5426, 0.2500)  2 Mn 2.41
Al (0.4574, 0.5426, 0.2500)  2 Mn 2.41
Al (0.5426, 0.4574, 0.7500)  2 Mn 2.41
Al (0.7997, 0.5994, 0.4358)  3 Mn 2.62-2.67, 1 Si 2.64, 7 Al 2.77-2.92
Al (0.4006, 0.2003, 0.0642)  3 Mn 2.62-2.67, 1 Si 2.64, 7 Al 2.77-2.92
Al (0.4006, 0.2003, 0.4358)  3 Mn 2.62-2.67, 1 Si 2.64, 7 Al 2.77-2.92
Al (0.2003, 0.4006, 0.9358)  3 Mn 2.62-2.67, 1 Si 2.64, 7 Al 2.77-2.92
Al (0.7997, 0.2003, 0.4358)  3 Mn 2.62-2.67, 1 Si 2.64, 7 Al 2.77-2.92
Al (0.7997, 0.5994, 0.0642)  3 Mn 2.62-2.67, 1 Si 2.64, 7 Al 2.77-2.92
Al (0.2003, 0.7997, 0.5642)  3 Mn 2.62-2.67, 1 Si 2.64, 7 Al 2.77-2.92
Al (0.5994, 0.7997, 0.9358)  3 Mn 2.62-2.67, 1 Si 2.64, 7 Al 2.77-2.92
Al (0.5426, 0.0853, 0.7500)  2 Mn 2.41
Al (0.4574, 0.9147, 0.2500)  2 Mn 2.41
Al (0.9147, 0.4574, 0.7500)  2 Mn 2.41
Al (0.5994, 0.7997, 0.5642)  3 Mn 2.62-2.67, 1 Si 2.64, 7 Al 2.77-2.92
Al (0.7997, 0.2003, 0.0642)  3 Mn 2.62-2.67, 1 Si 2.64, 7 Al 2.77-2.92
Al (0.2003, 0.4006, 0.5642)  3 Mn 2.62-2.67, 1 Si 2.64, 7 Al 2.77-2.92
Al (0.2003, 0.7997, 0.9358)  3 Mn 2.62-2.67, 1 Si 2.64, 7 Al 2.77-2.92
Mn (0.8808, 0.1192, 0.7500)  8 Al 2.41-2.67, 2 Si 2.46, 2 Mn 2.68
Mn (0.1192, 0.2385, 0.2500)  8 Al 2.41-2.67, 2 Si 2.46, 2 Mn 2.68
Mn (0.1192, 0.8808, 0.2500)  8 Al 2.41-2.67, 2 Si 2.46, 2 Mn 2.68
Mn (0.8808, 0.7615, 0.7500)  8 Al 2.41-2.67, 2 Si 2.46, 2 Mn 2.68
Mn (0.7615, 0.8808, 0.2500)  8 Al 2.41-2.67, 2 Si 2.46, 2 Mn 2.68
Mn (0.2385, 0.1192, 0.7500)  8 Al 2.41-2.67, 2 Si 2.46, 2 Mn 2.68

For the calculated total energy, the calculation gives -5.40 eV per atom. Its space group is P6_3/mmc.


Entry from Materials Project: SmMn4Al8 after structural relaxation (PBE).

a = 6.7187 Å, b = 6.7187 Å, c = 6.7187 Å
α = 97.81°, β = 97.81°, γ = 136.75°
Closest atoms and distances in Å follow each position.
Element x y z (fractional)
Al (0.5000, 0.7202, 0.2202)  4 Mn 2.55, 6 Al 2.70-2.84
Al (0.5000, 0.2798, 0.7798)  4 Mn 2.55, 6 Al 2.70-2.84
Al (0.6572, 0.0000, 0.6572)  4 Mn 2.66, 5 Al 2.70-2.84
Al (0.0000, 0.3428, 0.3428)  4 Mn 2.66, 5 Al 2.70-2.84
Al (0.2798, 0.5000, 0.7798)  4 Mn 2.55, 6 Al 2.70-2.84
Al (0.3428, 0.0000, 0.3428)  4 Mn 2.66, 5 Al 2.70-2.84
Al (0.0000, 0.6572, 0.6572)  4 Mn 2.66, 5 Al 2.70-2.84
Al (0.7202, 0.5000, 0.2202)  4 Mn 2.55, 6 Al 2.70-2.84
Mn (0.0000, 0.0000, 0.5000)  2 Mn 2.48, 8 Al 2.55-2.66
Mn (0.5000, 0.5000, 0.5000)  2 Mn 2.48, 8 Al 2.55-2.66
Mn (0.5000, 0.0000, 0.0000)  2 Mn 2.48, 8 Al 2.55-2.66
Mn (0.0000, 0.5000, 0.0000)  2 Mn 2.48, 8 Al 2.55-2.66
Sm (0.0000, 0.0000, 0.0000)  12 Al 3.03-3.15, 8 Mn 3.36

For the calculated total energy, the calculation gives -5.80 eV per atom. Its space group is I4/mmm.


Entry from Materials Project: TbMnAl after structural relaxation (PBE).

a = 5.4572 Å, b = 5.4572 Å, c = 5.4572 Å
α = 88.27°, β = 61.54°, γ = 119.55°
Closest atoms and distances in Å follow each position.
Element x y z (fractional)
Mn (0.2500, 0.8750, 0.3750)  4 Al 2.73, 2 Mn 2.75
Mn (0.7500, 0.3750, 0.3750)  4 Al 2.73, 2 Mn 2.75
Al (0.2500, 0.3750, 0.3750)  4 Mn 2.73, 2 Al 2.79
Al (0.7500, 0.3750, 0.8750)  4 Mn 2.73, 2 Al 2.79
Tb (0.5000, 0.7563, 0.7437)  6 Mn 3.12-3.27, 6 Al 3.21-3.22, 4 Tb 3.32-3.40
Tb (0.0000, 0.9937, 0.0063)  6 Mn 3.12-3.27, 6 Al 3.21-3.22, 4 Tb 3.32-3.40

For the calculated total energy, the calculation gives -6.07 eV per atom. Its space group is Imma.


Entry from Materials Project: TbMn6Al6 after structural relaxation (PBE).

a = 6.6308 Å, b = 6.6308 Å, c = 6.6308 Å
α = 136.43°, β = 99.11°, γ = 96.73°
Closest atoms and distances in Å follow each position.
Element x y z (fractional)
Mn (0.0000, 0.0000, 0.5000)  4 Mn 2.46-2.53, 6 Al 2.52-2.64
Mn (0.0000, 0.5000, 0.0000)  4 Mn 2.46-2.53, 6 Al 2.52-2.64
Mn (0.5000, 0.5000, 0.5000)  4 Mn 2.46-2.53, 6 Al 2.52-2.64
Mn (0.2363, 0.5000, 0.7363)  4 Mn 2.53, 6 Al 2.61-2.67
Mn (0.7637, 0.5000, 0.2637)  4 Mn 2.53, 6 Al 2.61-2.67
Mn (0.5000, 0.0000, 0.0000)  4 Mn 2.46-2.53, 6 Al 2.52-2.64
Al (0.8030, 0.3030, 0.5000)  6 Mn 2.52-2.67, 2 Al 2.79
Al (0.6612, 0.0000, 0.6612)  6 Mn 2.61-2.64, 1 Al 2.77, 1 Tb 2.91
Al (0.3470, 0.3470, 0.0000)  6 Mn 2.62-2.64, 3 Al 2.70-2.79
Al (0.6530, 0.6530, 0.0000)  6 Mn 2.62-2.64, 3 Al 2.70-2.79
Al (0.3388, 0.0000, 0.3388)  6 Mn 2.61-2.64, 1 Al 2.77, 1 Tb 2.91
Al (0.1970, 0.6970, 0.5000)  6 Mn 2.52-2.67, 2 Al 2.79
Tb (0.0000, 0.0000, 0.0000)  8 Al 2.91-3.06, 4 Mn 3.19

For the calculated total energy, the calculation gives -6.56 eV per atom. Its space group is Immm.


Entry from Materials Project: Tb2Mn3Al after structural relaxation (PBE).

a = 5.3359 Å, b = 5.3359 Å, c = 5.3359 Å
α = 61.40°, β = 61.40°, γ = 61.40°
Closest atoms and distances in Å follow each position.
Element x y z (fractional)
Mn (0.5000, 0.0000, 0.0000)  2 Al 2.67, 4 Mn 2.72
Mn (0.0000, 0.0000, 0.5000)  2 Al 2.67, 4 Mn 2.72
Mn (0.0000, 0.5000, 0.0000)  2 Al 2.67, 4 Mn 2.72
Tb (0.3762, 0.3762, 0.3762)  9 Mn 3.13-3.16, 3 Al 3.19, 4 Tb 3.20-3.34
Tb (0.6238, 0.6238, 0.6238)  9 Mn 3.13-3.16, 3 Al 3.19, 4 Tb 3.20-3.34
Al (0.0000, 0.0000, 0.0000)  6 Mn 2.67

For the calculated total energy, the calculation gives -6.65 eV per atom. Its space group is R-3m.


Copy entry 6 word for word.
Entry from Materials Project: TbMnAl after structural relaxation (PBE).

a = 5.4572 Å, b = 5.4572 Å, c = 5.4572 Å
α = 88.27°, β = 61.54°, γ = 119.55°
Closest atoms and distances in Å follow each position.
Element x y z (fractional)
Mn (0.2500, 0.8750, 0.3750)  4 Al 2.73, 2 Mn 2.75
Mn (0.7500, 0.3750, 0.3750)  4 Al 2.73, 2 Mn 2.75
Al (0.2500, 0.3750, 0.3750)  4 Mn 2.73, 2 Al 2.79
Al (0.7500, 0.3750, 0.8750)  4 Mn 2.73, 2 Al 2.79
Tb (0.5000, 0.7563, 0.7437)  6 Mn 3.12-3.27, 6 Al 3.21-3.22, 4 Tb 3.32-3.40
Tb (0.0000, 0.9937, 0.0063)  6 Mn 3.12-3.27, 6 Al 3.21-3.22, 4 Tb 3.32-3.40

For the calculated total energy, the calculation gives -6.07 eV per atom. Its space group is Imma.